Run w
A geometry-optimized NbAg7S6 structure. Source: the Materials Project database, functional PBE.

a b c (Å): 7.7361 7.4531 13.3538
angles (deg): 90.00 124.77 90.00
Element x y z (fractional)
Nb (0.0000, 0.2442, 0.0000)
Nb (0.0000, 0.7558, 0.5000)
Ag (0.0991, 0.1206, 0.4067)
Ag (0.0991, 0.8794, 0.9067)
Ag (0.3011, 0.4868, 0.4867)
Ag (0.3011, 0.5132, 0.9867)
Ag (0.3045, 0.2165, 0.2784)
Ag (0.3045, 0.7835, 0.7784)
Ag (0.4738, 0.0429, 0.1480)
Ag (0.4738, 0.9571, 0.6480)
Ag (0.6910, 0.3194, 0.7294)
Ag (0.6910, 0.6806, 0.2294)
Ag (0.7122, 0.4150, 0.4512)
Ag (0.7122, 0.5850, 0.9512)
Ag (0.9087, 0.3992, 0.1914)
Ag (0.9087, 0.6008, 0.6914)
S (0.1011, 0.2451, 0.8640)
S (0.1011, 0.7549, 0.3640)
S (0.1124, 0.0226, 0.6111)
S (0.1124, 0.9774, 0.1111)
S (0.1422, 0.4984, 0.1286)
S (0.1422, 0.5016, 0.6286)
S (0.5041, 0.2145, 0.5094)
S (0.5041, 0.7855, 0.0094)
S (0.6381, 0.2424, 0.8952)
S (0.6381, 0.7576, 0.3952)
S (0.7416, 0.2677, 0.2807)
S (0.7416, 0.7323, 0.7807)

Calculated values
- calculated volume (Å³ per cell) = 632.5
- M_tot (μB/f.u.) = 0.00

---

Run x
A geometry-optimized NbAg7S6 structure. Source: the Materials Project database, functional PBE.

a b c (Å): 7.5521 7.5736 7.6431
angles (deg): 92.19 117.77 118.52
Element x y z (fractional)
Nb (0.0000, 0.0000, 0.0000)
Ag (0.0822, 0.2280, 0.5593)
Ag (0.1029, 0.7097, 0.8014)
Ag (0.1125, 0.4872, 0.1101)
Ag (0.4450, 0.5276, 0.9911)
Ag (0.4726, 0.7104, 0.5818)
Ag (0.6530, 0.1496, 0.1716)
Ag (0.9000, 0.7729, 0.3845)
S (0.0341, 0.5233, 0.4743)
S (0.2251, 0.1056, 0.3556)
S (0.2640, 0.1276, 0.8825)
S (0.5385, 0.8028, 0.2721)
S (0.7489, 0.1203, 0.8800)
S (0.7608, 0.6264, 0.8647)

Calculated values
- calculated volume (Å³ per cell) = 320.2
- M_tot (μB/f.u.) = 0.00

---

On energetic grounds, run w is preferred over the next structure by 24 meV per atom.

---

Run w
A geometry-optimized Fe2CuS3 structure. Source: the Materials Project database, functional PBE.

a b c (Å): 6.2136 10.6067 6.5355
angles (deg): 90.00 90.00 90.00
Element x y z (fractional)
Fe (0.0478, 0.0943, 0.0896)
Fe (0.0478, 0.4057, 0.0896)
Fe (0.4522, 0.5943, 0.5896)
Fe (0.4522, 0.9057, 0.5896)
Fe (0.5478, 0.0943, 0.4104)
Fe (0.5478, 0.4057, 0.4104)
Fe (0.9522, 0.5943, 0.9104)
Fe (0.9522, 0.9057, 0.9104)
Cu (0.0479, 0.2500, 0.5667)
Cu (0.4521, 0.7500, 0.0667)
Cu (0.5479, 0.2500, 0.9333)
Cu (0.9521, 0.7500, 0.4333)
S (0.0885, 0.7500, 0.1065)
S (0.0979, 0.5807, 0.6024)
S (0.0979, 0.9193, 0.6024)
S (0.4021, 0.0807, 0.1024)
S (0.4021, 0.4193, 0.1024)
S (0.4115, 0.2500, 0.6065)
S (0.5885, 0.7500, 0.3935)
S (0.5979, 0.5807, 0.8976)
S (0.5979, 0.9193, 0.8976)
S (0.9021, 0.0807, 0.3976)
S (0.9021, 0.4193, 0.3976)
S (0.9115, 0.2500, 0.8935)

Calculated values
- calculated volume (Å³ per cell) = 430.7
- M_tot (μB/f.u.) = 5.81

---

Run x
A geometry-optimized Fe2CuS3 structure. Source: the Materials Project database, functional PBE.

a b c (Å): 3.6983 3.6983 9.0592
angles (deg): 90.00 90.00 120.00
Element x y z (fractional)
Fe (0.0000, 0.0000, 0.0000)
Fe (0.3333, 0.6667, 0.6626)
Cu (0.6667, 0.3333, 0.3362)
S (0.0000, 0.0000, 0.7503)
S (0.3333, 0.6667, 0.4188)
S (0.6667, 0.3333, 0.0823)

Calculated values
- calculated volume (Å³ per cell) = 107.3

---

On energetic grounds, run x is preferred over the next structure by 168 meV per atom.

---

Run w
A geometry-optimized Lu2MgS4 structure. Source: the Materials Project database, functional PBE.

a b c (Å): 12.4610 7.4294 12.6756
angles (deg): 90.00 90.00 90.00
Element x y z (fractional)
Lu (0.1088, 0.1172, 0.0000)
Lu (0.1275, 0.6182, 0.6398)
Lu (0.1337, 0.3701, 0.3049)
Lu (0.1336, 0.8703, 0.3043)
Lu (0.3663, 0.3701, 0.8049)
Lu (0.3664, 0.8703, 0.8043)
Lu (0.3725, 0.6182, 0.1398)
Lu (0.3912, 0.1172, 0.5000)
Lu (0.6088, 0.8828, 0.0000)
Lu (0.6275, 0.3818, 0.6398)
Lu (0.6337, 0.1297, 0.3043)
Lu (0.6337, 0.6299, 0.3049)
Lu (0.8664, 0.1297, 0.8043)
Lu (0.8663, 0.6299, 0.8049)
Lu (0.8725, 0.3818, 0.1398)
Lu (0.8912, 0.8828, 0.5000)
Mg (0.1098, 0.6197, 0.0034)
Mg (0.1261, 0.1221, 0.6360)
Mg (0.3739, 0.1221, 0.1359)
Mg (0.3902, 0.6197, 0.5034)
Mg (0.6098, 0.3803, 0.0034)
Mg (0.6261, 0.8779, 0.6360)
Mg (0.8739, 0.8779, 0.1359)
Mg (0.8902, 0.3803, 0.5034)
S (0.0145, 0.1240, 0.1905)
S (0.0208, 0.6244, 0.1855)
S (0.0342, 0.6245, 0.4455)
S (0.0412, 0.1244, 0.4489)
S (0.2133, 0.1196, 0.8189)
S (0.2144, 0.6198, 0.8303)
S (0.2323, 0.3674, 0.0908)
S (0.2317, 0.8699, 0.0901)
S (0.2677, 0.3674, 0.5908)
S (0.2683, 0.8699, 0.5901)
S (0.2856, 0.6198, 0.3303)
S (0.2867, 0.1196, 0.3189)
S (0.4588, 0.1244, 0.9489)
S (0.4658, 0.6245, 0.9455)
S (0.4792, 0.6244, 0.6855)
S (0.4855, 0.1240, 0.6905)
S (0.5145, 0.8760, 0.1905)
S (0.5208, 0.3756, 0.1855)
S (0.5342, 0.3755, 0.4455)
S (0.5412, 0.8756, 0.4489)
S (0.7133, 0.8804, 0.8189)
S (0.7144, 0.3802, 0.8303)
S (0.7317, 0.1301, 0.0901)
S (0.7323, 0.6326, 0.0908)
S (0.7683, 0.1301, 0.5901)
S (0.7677, 0.6326, 0.5908)
S (0.7856, 0.3802, 0.3303)
S (0.7867, 0.8804, 0.3189)
S (0.9588, 0.8756, 0.9489)
S (0.9658, 0.3755, 0.9455)
S (0.9792, 0.3756, 0.6855)
S (0.9855, 0.8760, 0.6905)

Calculated values
- calculated volume (Å³ per cell) = 1173.5
- M_tot (μB/f.u.) = 0.00

---

Run x
A geometry-optimized Lu2MgS4 structure. Source: the Materials Project database, functional PBE.

a b c (Å): 7.7741 7.7741 7.7741
angles (deg): 60.00 60.00 60.00
Element x y z (fractional)
Lu (0.0000, 0.0000, 0.0000)
Lu (0.0000, 0.0000, 0.5000)
Lu (0.0000, 0.5000, 0.0000)
Lu (0.5000, 0.0000, 0.0000)
Mg (0.3750, 0.3750, 0.3750)
Mg (0.6250, 0.6250, 0.6250)
S (0.2321, 0.7560, 0.7560)
S (0.2440, 0.2440, 0.2440)
S (0.2440, 0.2440, 0.7679)
S (0.2440, 0.7679, 0.2440)
S (0.7560, 0.2321, 0.7560)
S (0.7560, 0.7560, 0.2321)
S (0.7560, 0.7560, 0.7560)
S (0.7679, 0.2440, 0.2440)

Calculated values
- calculated volume (Å³ per cell) = 332.2

---

On energetic grounds, run x is preferred over the next structure by 39 meV per atom.

---

Run w
A geometry-optimized Ge3N4 structure. Source: the Materials Project database, functional PBE.

a b c (Å): 10.1082 5.9540 4.8966
angles (deg): 90.00 90.00 90.00
Element x y z (fractional)
Ge (0.0000, 0.0000, 0.0000)
Ge (0.0000, 0.5000, 0.0000)
Ge (0.0955, 0.2500, 0.4488)
Ge (0.2209, 0.7500, 0.4890)
Ge (0.2791, 0.2500, 0.9890)
Ge (0.4045, 0.7500, 0.9488)
Ge (0.5000, 0.0000, 0.5000)
Ge (0.5000, 0.5000, 0.5000)
Ge (0.5955, 0.2500, 0.0512)
Ge (0.7209, 0.7500, 0.0110)
Ge (0.7791, 0.2500, 0.5110)
Ge (0.9045, 0.7500, 0.5512)
N (0.0686, 0.7500, 0.7429)
N (0.0946, 0.2500, 0.8211)
N (0.1624, 0.0043, 0.2589)
N (0.1624, 0.4957, 0.2589)
N (0.3376, 0.5043, 0.7589)
N (0.3376, 0.9957, 0.7589)
N (0.4054, 0.7500, 0.3211)
N (0.4314, 0.2500, 0.2429)
N (0.5686, 0.7500, 0.7571)
N (0.5946, 0.2500, 0.6789)
N (0.6624, 0.0043, 0.2411)
N (0.6624, 0.4957, 0.2411)
N (0.8376, 0.5043, 0.7411)
N (0.8376, 0.9957, 0.7411)
N (0.9054, 0.7500, 0.1789)
N (0.9314, 0.2500, 0.2571)

Calculated values
- calculated volume (Å³ per cell) = 294.7
- M_tot (μB/f.u.) = 0.00

---

Run x
A geometry-optimized Ge3N4 structure. Source: the Materials Project database, functional PBE.

a b c (Å): 5.8772 5.8772 5.8772
angles (deg): 60.00 60.00 60.00
Element x y z (fractional)
Ge (0.0000, 0.0000, 0.0000)
Ge (0.0000, 0.0000, 0.5000)
Ge (0.0000, 0.5000, 0.0000)
Ge (0.3750, 0.3750, 0.3750)
Ge (0.5000, 0.0000, 0.0000)
Ge (0.6250, 0.6250, 0.6250)
N (0.2255, 0.7582, 0.7582)
N (0.2418, 0.2418, 0.2418)
N (0.2418, 0.2418, 0.7745)
N (0.2418, 0.7745, 0.2418)
N (0.7582, 0.2255, 0.7582)
N (0.7582, 0.7582, 0.2255)
N (0.7582, 0.7582, 0.7582)
N (0.7745, 0.2418, 0.2418)

Calculated values
- calculated volume (Å³ per cell) = 143.5
- M_tot (μB/f.u.) = 0.00

---

Run y
A geometry-optimized Ge3N4 structure. Source: the Materials Project database, functional PBE.

a b c (Å): 8.2786 8.2786 5.9896
angles (deg): 90.00 90.00 120.00
Element x y z (fractional)
Ge (0.0818, 0.5100, 0.0000)
Ge (0.0849, 0.8316, 0.2941)
Ge (0.1684, 0.2532, 0.2941)
Ge (0.2532, 0.1684, 0.7941)
Ge (0.4282, 0.9182, 0.0000)
Ge (0.4900, 0.5718, 0.0000)
Ge (0.5100, 0.0818, 0.5000)
Ge (0.5718, 0.4900, 0.5000)
Ge (0.7468, 0.9151, 0.2941)
Ge (0.8316, 0.0849, 0.7941)
Ge (0.9151, 0.7468, 0.7941)
Ge (0.9182, 0.4282, 0.5000)
N (0.0000, 0.0000, 0.2901)
N (0.0000, 0.0000, 0.7901)
N (0.0008, 0.6808, 0.0418)
N (0.0414, 0.3842, 0.2703)
N (0.3192, 0.3200, 0.0418)
N (0.3200, 0.3192, 0.5418)
N (0.3333, 0.6667, 0.9452)
N (0.3429, 0.9586, 0.2703)
N (0.3842, 0.0414, 0.7703)
N (0.6158, 0.6571, 0.2703)
N (0.6571, 0.6158, 0.7703)
N (0.6667, 0.3333, 0.4452)
N (0.6800, 0.9992, 0.0418)
N (0.6808, 0.0008, 0.5418)
N (0.9586, 0.3429, 0.7703)
N (0.9992, 0.6800, 0.5418)

Calculated values
- calculated volume (Å³ per cell) = 355.5

---

On energetic grounds, run y is preferred over the next structure by 109 meV per atom.

---

Run w
A geometry-optimized MoC structure. Source: the Materials Project database, functional PBE.

a b c (Å): 3.0736 3.0736 15.4204
angles (deg): 90.00 90.00 120.00
Element x y z (fractional)
Mo (0.0000, 0.0000, 0.2500)
Mo (0.0000, 0.0000, 0.7500)
Mo (0.3333, 0.6667, 0.0762)
Mo (0.3333, 0.6667, 0.4238)
Mo (0.6667, 0.3333, 0.5762)
Mo (0.6667, 0.3333, 0.9238)
C (0.0000, 0.0000, 0.0000)
C (0.0000, 0.0000, 0.5000)
C (0.3333, 0.6667, 0.6665)
C (0.3333, 0.6667, 0.8335)
C (0.6667, 0.3333, 0.1665)
C (0.6667, 0.3333, 0.3335)

Calculated values
- calculated volume (Å³ per cell) = 126.2
- M_tot (μB/f.u.) = 0.00

---

Run x
A geometry-optimized MoC structure. Source: the Materials Project database, functional PBE.

a b c (Å): 4.6987 4.6987 4.6987
angles (deg): 90.00 90.00 90.00
Element x y z (fractional)
Mo (0.0000, 0.0000, 0.0000)
Mo (0.0000, 0.5000, 0.5000)
Mo (0.5000, 0.0000, 0.5000)
Mo (0.5000, 0.5000, 0.0000)
C (0.2500, 0.2500, 0.7500)
C (0.2500, 0.7500, 0.2500)
C (0.7500, 0.2500, 0.2500)
C (0.7500, 0.7500, 0.7500)

Calculated values
- calculated volume (Å³ per cell) = 103.7
- M_tot (μB/f.u.) = 0.00

---

On energetic grounds, run w is preferred over the next structure by 330 meV per atom.

---

Run w
A geometry-optimized Te2MoWS2 structure. Source: the Materials Project database, functional PBE.

a b c (Å): 3.3581 3.3581 38.3234
angles (deg): 90.00 90.00 120.00
Element x y z (fractional)
Te (0.0000, 0.0000, 0.0000)
Te (0.0000, 0.0000, 0.0993)
Te (0.3333, 0.6667, 0.4367)
Te (0.3333, 0.6667, 0.5354)
Mo (0.0000, 0.0000, 0.4860)
Mo (0.0000, 0.0000, 0.8618)
W (0.3333, 0.6667, 0.0497)
W (0.3333, 0.6667, 0.6739)
S (0.0000, 0.0000, 0.6343)
S (0.0000, 0.0000, 0.7136)
S (0.3333, 0.6667, 0.8223)
S (0.3333, 0.6667, 0.9013)

Calculated values
- calculated volume (Å³ per cell) = 374.3
- M_tot (μB/f.u.) = 0.00

---

Run x
A geometry-optimized Te2MoWS2 structure. Source: the Materials Project database, functional PBE.

a b c (Å): 3.3648 3.3648 39.7822
angles (deg): 90.00 90.00 120.00
Element x y z (fractional)
Te (0.0000, 0.0000, 0.0000)
Te (0.0000, 0.0000, 0.0954)
Te (0.3333, 0.6667, 0.8086)
Te (0.3333, 0.6667, 0.9041)
Mo (0.0000, 0.0000, 0.4824)
Mo (0.3333, 0.6667, 0.6701)
W (0.0000, 0.0000, 0.8563)
W (0.3333, 0.6667, 0.0477)
S (0.0000, 0.0000, 0.6320)
S (0.0000, 0.0000, 0.7081)
S (0.3333, 0.6667, 0.4444)
S (0.3333, 0.6667, 0.5204)

Calculated values
- calculated volume (Å³ per cell) = 390.1
- M_tot (μB/f.u.) = 0.00

---

On energetic grounds, run w is preferred over the next structure by 36 meV per atom.

---

Run w
A geometry-optimized AsS structure. Source: the Materials Project database, functional PBE.

a b c (Å): 7.2879 7.2879 6.9959
angles (deg): 90.00 90.00 44.23
Element x y z (fractional)
As (0.0614, 0.9386, 0.5000)
As (0.3149, 0.3893, 0.0027)
As (0.3893, 0.3149, 0.5027)
As (0.6107, 0.6851, 0.0027)
As (0.6851, 0.6107, 0.5027)
As (0.9386, 0.0614, 0.0000)
S (0.0249, 0.2512, 0.6799)
S (0.2512, 0.0249, 0.1799)
S (0.3626, 0.6374, 0.8412)
S (0.6374, 0.3626, 0.3412)
S (0.7488, 0.9751, 0.6799)
S (0.9751, 0.7488, 0.1799)

Calculated values
- calculated volume (Å³ per cell) = 259.2
- M_tot (μB/f.u.) = 0.00

---

Run x
A geometry-optimized AsS structure. Source: the Materials Project database, functional PBE.

a b c (Å): 7.1272 14.7025 10.3877
angles (deg): 90.00 114.86 90.00
Element x y z (fractional)
As (0.0581, 0.1375, 0.4100)
As (0.0581, 0.3625, 0.9100)
As (0.1516, 0.0145, 0.8769)
As (0.1516, 0.4855, 0.3769)
As (0.1842, 0.6566, 0.4603)
As (0.1842, 0.8434, 0.9603)
As (0.3472, 0.6263, 0.1888)
As (0.3472, 0.8737, 0.6888)
As (0.6528, 0.1263, 0.3112)
As (0.6528, 0.3737, 0.8112)
As (0.8158, 0.1566, 0.0397)
As (0.8158, 0.3434, 0.5397)
As (0.8484, 0.5145, 0.6231)
As (0.8484, 0.9855, 0.1231)
As (0.9419, 0.6375, 0.0900)
As (0.9419, 0.8625, 0.5900)
S (0.0788, 0.2166, 0.2300)
S (0.0788, 0.2834, 0.7300)
S (0.1212, 0.0009, 0.3363)
S (0.1212, 0.4991, 0.8363)
S (0.3903, 0.0141, 0.7870)
S (0.3903, 0.4859, 0.2870)
S (0.4340, 0.7018, 0.3952)
S (0.4340, 0.7982, 0.8952)
S (0.5660, 0.2018, 0.1048)
S (0.5660, 0.2982, 0.6048)
S (0.6097, 0.5141, 0.7130)
S (0.6097, 0.9859, 0.2130)
S (0.8788, 0.5009, 0.1637)
S (0.8788, 0.9991, 0.6637)
S (0.9212, 0.7166, 0.2700)
S (0.9212, 0.7834, 0.7700)

Calculated values
- calculated volume (Å³ per cell) = 987.6

---

On energetic grounds, run x is preferred over the next structure by 338 meV per atom.